VASP calculation (GGA-PBE) on a geometry-optimized Y3InC structure.

Summary:
* DFT formation energy: -0.53 eV per atom

Lattice parameters (Å, degrees): 4.9293 4.9293 4.9293 90.00 90.00 90.00
Last column: nearest neighbours and their distance in Å.
Space group Pm-3m (No. 221)
Asymmetric unit:
Y (0.0000, 0.0000, 0.5000) x3  2 C 2.46
In (0.5000, 0.5000, 0.5000) x1  12 Y 3.49
C (0.0000, 0.0000, 0.0000) x1  6 Y 2.46

VASP calculation (GGA-PBE) on a geometry-optimized IrC4 structure.

Summary:
* offset from the most stable computed form: 926.4 meV/atom
* DFT formation energy: 1.51 eV per atom
* spin magnetization: 0.83 Bohr magnetons per cell

Lattice parameters (Å, degrees): 3.4383 3.4383 4.4040 90.00 90.00 90.00
Last column: nearest neighbours and their distance in Å.
Space group P4/mmm (No. 123)
Asymmetric unit:
Ir (0.0000, 0.0000, 0.0000) x1  16 C 2.88
C (0.2025, 0.5000, 0.5000) x4  3 C 1.39-1.45

VASP calculation (GGA-PBE) on a geometry-optimized IrC4 structure.

Summary:
* offset from the most stable computed form: 392.8 meV/atom
* DFT formation energy: 0.97 eV per atom
* spin magnetization: 0.00 Bohr magnetons per cell

Lattice parameters (Å, degrees): 4.1476 3.8213 5.5729 90.00 99.67 90.00
Last column: nearest neighbours and their distance in Å.
Space group P2_1/c (No. 14)
Asymmetric unit:
Ir (0.0000, 0.0000, 0.0000) x2  4 C 2.08-2.18
C (0.3078, 0.1694, 0.7649) x4  2 C 1.47-1.48
C (0.4519, 0.5799, 0.1081) x4  3 C 1.46-1.48

VASP calculation (GGA-PBE) on a geometry-optimized IrC4 structure.

Summary:
* offset from the most stable computed form: 143.2 meV/atom
* DFT formation energy: 0.72 eV per atom
* spin magnetization: 0.00 Bohr magnetons per cell

Lattice parameters (Å, degrees): 4.8984 7.4621 9.1943 90.00 90.00 90.00
Last column: nearest neighbours and their distance in Å.
Space group Pbca (No. 61)
Asymmetric unit:
Ir (0.1259, 0.1303, 0.0656) x8  5 C 2.09-2.22
C (0.0309, 0.1896, 0.3831) x8  2 C 1.47-1.52
C (0.0536, 0.1926, 0.7488) x8  3 C 1.48-1.52
C (0.1963, 0.5811, 0.7608) x8  3 C 1.47-1.49
C (0.2279, 0.0418, 0.3852) x8  2 C 1.47

- DFT formation energy of number 1 (Y3InC)?
  -0.53 eV per atom